# 1
## Li4Cr2P3O12 (PBE with a Hubbard U)

Data for a geometry-optimized Li4Cr2P3O12 structure.

Lattice parameters (Å, degrees): 8.314 8.512 9.107 62.72 89.72 61.20
Atoms (fractional coordinates):
Li 0.037 0.200 0.082
Li 0.186 0.038 0.397
Li 0.227 0.182 0.653
Li 0.420 0.411 0.364
Li 0.580 0.589 0.636
Li 0.773 0.818 0.347
Li 0.814 0.962 0.603
Li 0.963 0.800 0.918
Cr 0.161 0.685 0.463
Cr 0.356 0.290 0.060
Cr 0.644 0.710 0.940
Cr 0.839 0.315 0.537
P 0.050 0.486 0.257
P 0.257 0.777 0.760
P 0.452 0.803 0.247
P 0.548 0.197 0.753
P 0.743 0.223 0.240
P 0.950 0.514 0.743
O 0.013 0.648 0.307
O 0.041 0.939 0.718
O 0.047 0.297 0.405
O 0.098 0.400 0.915
O 0.252 0.389 0.229
O 0.299 0.749 0.602
O 0.310 0.574 0.924
O 0.322 0.037 0.207
O 0.334 0.701 0.301
O 0.372 0.313 0.601
O 0.376 0.866 0.781
O 0.492 0.191 0.914
O 0.508 0.809 0.086
O 0.624 0.134 0.219
O 0.628 0.687 0.399
O 0.666 0.299 0.699
O 0.678 0.963 0.793
O 0.690 0.426 0.076
O 0.701 0.251 0.398
O 0.748 0.611 0.771
O 0.902 0.600 0.085
O 0.953 0.703 0.595
O 0.959 0.061 0.282
O 0.987 0.352 0.693

Distance to the lowest polymorph of the same formula in kcal/mol of atoms: 0.00
Calculated density in g/cm3: 2.87
Space group: P-1
Final energy in eV/atom: -6.926

# 2
## LiCrP2O7 (PBE with a Hubbard U)

Data for a geometry-optimized LiCrP2O7 structure.

Lattice parameters (Å, degrees): 4.868 8.184 7.002 90.00 108.45 90.00
Atoms (fractional coordinates):
Li 0.179 0.000 0.175
Li 0.821 0.500 0.825
Cr 0.215 0.363 0.229
Cr 0.785 0.863 0.771
P 0.215 0.079 0.587
P 0.399 0.682 0.022
P 0.601 0.182 0.978
P 0.785 0.579 0.413
O 0.051 0.539 0.354
O 0.135 0.169 0.384
O 0.183 0.824 0.981
O 0.248 0.516 0.010
O 0.402 0.183 0.108
O 0.402 0.929 0.583
O 0.407 0.213 0.747
O 0.593 0.713 0.253
O 0.598 0.429 0.417
O 0.598 0.683 0.892
O 0.752 0.016 0.990
O 0.817 0.324 0.019
O 0.865 0.669 0.616
O 0.949 0.039 0.646

Distance to the lowest polymorph of the same formula in kcal/mol of atoms: 0.00
Largest piezoelectric modulus in C/m2: 0.4
Calculated density in g/cm3: 2.92
Space group: P2_1
Final energy in eV/atom: -7.240

# 3
## Li2CrP2O8 (PBE with a Hubbard U)

Data for a geometry-optimized Li2CrP2O8 structure.

Lattice parameters (Å, degrees): 4.884 17.437 6.596 90.00 94.52 90.00
Atoms (fractional coordinates):
Li 0.012 0.000 0.043
Li 0.035 0.672 0.735
Li 0.445 0.251 0.064
Li 0.466 0.434 0.742
Li 0.534 0.934 0.258
Li 0.555 0.751 0.936
Li 0.965 0.172 0.265
Li 0.988 0.500 0.957
Cr 0.051 0.683 0.242
Cr 0.461 0.425 0.268
Cr 0.539 0.925 0.732
Cr 0.949 0.183 0.758
P 0.022 0.019 0.529
P 0.074 0.841 0.969
P 0.426 0.269 0.533
P 0.480 0.090 0.972
P 0.520 0.590 0.028
P 0.574 0.769 0.467
P 0.926 0.341 0.031
P 0.978 0.519 0.471
O 0.032 0.109 0.539
O 0.117 0.495 0.678
O 0.119 0.486 0.287
O 0.123 0.752 0.003
O 0.168 0.116 0.960
O 0.182 0.889 0.150
O 0.224 0.859 0.776
O 0.242 0.356 0.073
O 0.263 0.747 0.435
O 0.282 0.246 0.727
O 0.306 0.230 0.338
O 0.326 0.991 0.539
O 0.380 0.621 0.830
O 0.381 0.621 0.214
O 0.398 0.358 0.510
O 0.476 0.000 0.967
O 0.524 0.500 0.033
O 0.602 0.858 0.490
O 0.619 0.121 0.786
O 0.620 0.121 0.170
O 0.674 0.491 0.461
O 0.694 0.730 0.662
O 0.718 0.746 0.273
O 0.737 0.247 0.565
O 0.758 0.856 0.927
O 0.776 0.359 0.224
O 0.818 0.389 0.850
O 0.832 0.616 0.040
O 0.877 0.252 0.997
O 0.881 0.986 0.713
O 0.883 0.995 0.322
O 0.968 0.609 0.461

Distance to the lowest polymorph of the same formula in kcal/mol of atoms: 0.32
Calculated density in g/cm3: 3.03
Space group: P2_1
Final energy in eV/atom: -6.851

# 4
## LiCrP2O7 (PBE with a Hubbard U)

Data for a geometry-optimized LiCrP2O7 structure.

Lattice parameters (Å, degrees): 7.955 7.955 10.490 91.73 91.73 114.56
Atoms (fractional coordinates):
Li 0.221 0.778 0.501
Li 0.222 0.779 0.999
Li 0.778 0.221 0.001
Li 0.779 0.222 0.499
Cr 0.173 0.174 0.093
Cr 0.174 0.173 0.593
Cr 0.826 0.827 0.407
Cr 0.827 0.826 0.907
P 0.173 0.390 0.858
P 0.182 0.393 0.359
P 0.390 0.173 0.358
P 0.393 0.182 0.859
P 0.607 0.818 0.141
P 0.610 0.827 0.642
P 0.818 0.607 0.641
P 0.827 0.610 0.142
O 0.049 0.253 0.959
O 0.054 0.258 0.459
O 0.102 0.302 0.723
O 0.110 0.308 0.223
O 0.197 0.583 0.879
O 0.213 0.588 0.382
O 0.253 0.049 0.459
O 0.258 0.054 0.959
O 0.302 0.102 0.223
O 0.308 0.110 0.723
O 0.373 0.378 0.881
O 0.378 0.373 0.381
O 0.412 0.787 0.118
O 0.417 0.803 0.621
O 0.583 0.197 0.379
O 0.588 0.213 0.882
O 0.622 0.627 0.619
O 0.627 0.622 0.119
O 0.692 0.890 0.277
O 0.698 0.898 0.777
O 0.742 0.946 0.041
O 0.747 0.951 0.541
O 0.787 0.412 0.618
O 0.803 0.417 0.121
O 0.890 0.692 0.777
O 0.898 0.698 0.277
O 0.946 0.742 0.541
O 0.951 0.747 0.041

Distance to the lowest polymorph of the same formula in kcal/mol of atoms: 4.71
Calculated density in g/cm3: 2.57
Space group: C2/c
Final energy in eV/atom: -7.036

Calculated formation energy readings, ordered: -2.625, -2.675, -2.514, -2.470 eV/atom